(1)
Here is a relaxed structure of GaSbO4 from the Materials Project. Energies are from PBE.

a b c (Å): 4.6633 4.6633 3.1009
angles (deg): 90.00 90.00 92.36
Last column: nearest neighbours and their distance in Å.
Fractional coordinates of all 6 atoms:
O 0.8059 0.1941 0.5000  2 Sb 2.03, 1 Ga 2.06
O 0.6926 0.6926 0.0000  1 Sb 1.99, 2 Ga 1.99
O 0.1941 0.8059 0.5000  2 Sb 2.03, 1 Ga 2.06
O 0.3074 0.3074 0.0000  1 Sb 1.99, 2 Ga 1.99
Sb 0.0000 0.0000 0.0000  6 O 1.99-2.03
Ga 0.5000 0.5000 0.5000  6 O 1.99-2.06

Values from the calculation:
Symmetry: No. 65

(2)
Here is a relaxed structure of ScGaO3 from the Materials Project. Energies are from PBE.

a b c (Å): 3.3256 3.3256 11.8647
angles (deg): 90.00 90.00 120.00
Last column: nearest neighbours and their distance in Å.
Fractional coordinates of all 10 atoms:
Sc 0.0000 0.0000 0.0000  6 O 2.16
Sc 0.0000 0.0000 0.5000  6 O 2.16
O 0.0000 0.0000 0.7500  3 Ga 1.92
O 0.3333 0.6667 0.0836  1 Ga 1.97, 3 Sc 2.16
O 0.6667 0.3333 0.5836  1 Ga 1.97, 3 Sc 2.16
O 0.3333 0.6667 0.4164  1 Ga 1.97, 3 Sc 2.16
O 0.0000 0.0000 0.2500  3 Ga 1.92
O 0.6667 0.3333 0.9164  1 Ga 1.97, 3 Sc 2.16
Ga 0.6667 0.3333 0.7500  5 O 1.92-1.97
Ga 0.3333 0.6667 0.2500  5 O 1.92-1.97

Values from the calculation:
Symmetry: No. 194

Asked for formation energy from the elements across the records above, the calculation gives -2.055; -3.101 eV/atom in order.